Record 1
A plane-wave DFT calculation with r2SCAN was carried out for a geometry-optimized DyGePd2 structure.

Unit cell a=5.5834 b=7.0681 c=7.3587 alpha=90.00 beta=90.00 gamma=90.00
Closest atoms and distances in Å follow each position.
Fractional positions:
Pd (0.4132, 0.4483, 0.3181)  3 Ge 2.51-2.65, 1 Pd 2.80
Pd (0.9132, 0.9483, 0.1819)  3 Ge 2.51-2.65, 1 Pd 2.80
Dy (0.1468, 0.7500, 0.5284)  3 Ge 2.99-3.05, 8 Pd 3.03-3.19
Dy (0.3532, 0.7500, 0.0284)  3 Ge 2.99-3.05, 8 Pd 3.03-3.19
Pd (0.0868, 0.0517, 0.8181)  3 Ge 2.51-2.65, 1 Pd 2.80
Ge (0.1449, 0.2500, 0.1209)  6 Pd 2.51-2.65
Pd (0.9132, 0.5517, 0.1819)  3 Ge 2.51-2.65, 1 Pd 2.80
Pd (0.5868, 0.5517, 0.6819)  3 Ge 2.51-2.65, 1 Pd 2.80
Dy (0.8532, 0.2500, 0.4716)  3 Ge 2.99-3.05, 8 Pd 3.03-3.19
Ge (0.6449, 0.7500, 0.3791)  6 Pd 2.51-2.65
Ge (0.3551, 0.2500, 0.6209)  6 Pd 2.51-2.65
Pd (0.4132, 0.0517, 0.3181)  3 Ge 2.51-2.65, 1 Pd 2.80
Dy (0.6468, 0.2500, 0.9716)  3 Ge 2.99-3.05, 8 Pd 3.03-3.19
Pd (0.5868, 0.9483, 0.6819)  3 Ge 2.51-2.65, 1 Pd 2.80
Pd (0.0868, 0.4483, 0.8181)  3 Ge 2.51-2.65, 1 Pd 2.80
Ge (0.8551, 0.7500, 0.8791)  6 Pd 2.51-2.65

---

Record 2
A plane-wave DFT calculation with r2SCAN was carried out for a geometry-optimized Hg2TeBr3 structure.

Unit cell a=10.1701 b=7.6697 c=11.9309 alpha=57.09 beta=90.00 gamma=90.00
Closest atoms and distances in Å follow each position.
Fractional positions:
Br (0.1551, 0.6654, 0.3630)  1 Hg 2.62
Hg (0.6905, 0.0035, 0.4965)  3 Br 2.71-2.81, 1 Te 2.71
Hg (0.4509, 0.5240, 0.1582)  2 Br 2.62-2.67, 1 Te 2.71
Te (0.9304, 0.0955, 0.3784)  2 Hg 2.71, 1 Te 2.82
Br (0.2393, 0.2434, 0.7278)  2 Hg 2.67-2.81
Br (0.9984, 0.2611, 0.9861)  2 Hg 2.71-2.74
Br (0.6551, 0.3346, 0.1370)  1 Hg 2.62
Hg (0.3095, 0.9965, 0.5035)  3 Br 2.71-2.81, 1 Te 2.71
Br (0.4984, 0.7389, 0.5139)  2 Hg 2.71-2.74
Te (0.5696, 0.0955, 0.8784)  2 Hg 2.71, 1 Te 2.82
Te (0.0696, 0.9045, 0.6216)  2 Hg 2.71, 1 Te 2.82
Br (0.8449, 0.3346, 0.6370)  1 Hg 2.62
Br (0.5016, 0.2611, 0.4861)  2 Hg 2.71-2.74
Br (0.7393, 0.7566, 0.7722)  2 Hg 2.67-2.81
Br (0.2607, 0.2434, 0.2278)  2 Hg 2.67-2.81
Hg (0.0491, 0.5240, 0.6582)  2 Br 2.62-2.67, 1 Te 2.71
Br (0.7607, 0.7566, 0.2722)  2 Hg 2.67-2.81
Hg (0.5491, 0.4760, 0.8418)  2 Br 2.62-2.67, 1 Te 2.71
Te (0.4304, 0.9045, 0.1216)  2 Hg 2.71, 1 Te 2.82
Br (0.3449, 0.6654, 0.8630)  1 Hg 2.62
Hg (0.8095, 0.0035, 0.9965)  3 Br 2.71-2.81, 1 Te 2.71
Hg (0.9509, 0.4760, 0.3418)  2 Br 2.62-2.67, 1 Te 2.71
Br (0.0016, 0.7389, 0.0139)  2 Hg 2.71-2.74
Hg (0.1905, 0.9965, 0.0035)  3 Br 2.71-2.81, 1 Te 2.71

---

Record 3
A plane-wave DFT calculation with r2SCAN was carried out for a geometry-optimized RbTh2Se6 structure.

Unit cell a=4.2426 b=5.5931 c=11.9329 alpha=103.55 beta=100.24 gamma=90.00
Closest atoms and distances in Å follow each position.
Fractional positions:
Th (0.8207, 0.3207, 0.6414)  8 Se 2.98-3.02
Se (0.7712, 0.7712, 0.5423)  4 Th 2.98-3.02
Se (0.2288, 0.2288, 0.4577)  4 Th 2.98-3.02
Se (0.3927, 0.6368, 0.7854)  2 Se 2.73-2.86, 2 Th 3.01
Se (0.6073, 0.8514, 0.2146)  2 Se 2.73-2.86, 2 Th 3.01
Se (0.6073, 0.3632, 0.2146)  2 Se 2.73-2.86, 2 Th 3.01
Se (0.3927, 0.1486, 0.7854)  2 Se 2.73-2.86, 2 Th 3.01
Th (0.1793, 0.6793, 0.3586)  8 Se 2.98-3.02
Rb (0.0000, 0.0000, 0.0000)  8 Se 3.54

---

Record 4
A plane-wave DFT calculation with r2SCAN was carried out for a geometry-optimized K4BeAs2 structure.

Unit cell a=9.2147 b=9.2147 c=9.2147 alpha=35.92 beta=35.92 gamma=35.92
Closest atoms and distances in Å follow each position.
Fractional positions:
As (0.0802, 0.0802, 0.0802)  1 Be 2.07
K (0.7914, 0.7914, 0.7914)  4 As 3.31-3.48
Be (0.0000, 0.0000, 0.0000)  2 As 2.07
K (0.6238, 0.6238, 0.6238)  3 As 3.42, 3 Be 3.46
K (0.2086, 0.2086, 0.2086)  4 As 3.31-3.48
As (0.9198, 0.9198, 0.9198)  1 Be 2.07
K (0.3762, 0.3762, 0.3762)  3 As 3.42, 3 Be 3.46

---

Record 5
A plane-wave DFT calculation with r2SCAN was carried out for a geometry-optimized YbPmAu2 structure.

Unit cell a=5.0818 b=5.0818 c=5.0818 alpha=60.00 beta=60.00 gamma=60.00
Closest atoms and distances in Å follow each position.
Fractional positions:
Pm (0.5000, 0.5000, 0.5000)  8 Au 3.11
Au (0.2500, 0.2500, 0.2500)  4 Pm 3.11, 4 Yb 3.11
Yb (0.0000, 0.0000, 0.0000)  8 Au 3.11
Au (0.7500, 0.7500, 0.7500)  4 Pm 3.11, 4 Yb 3.11

---

Record 6
A plane-wave DFT calculation with r2SCAN was carried out for a geometry-optimized U2SN2 structure.

Unit cell a=3.8200 b=3.8200 c=6.7136 alpha=90.00 beta=90.00 gamma=120.00
Closest atoms and distances in Å follow each position.
Fractional positions:
N (0.6667, 0.3333, 0.3691)  4 U 2.27-2.31
U (0.6667, 0.3333, 0.7125)  4 N 2.27-2.31
N (0.3333, 0.6667, 0.6309)  4 U 2.27-2.31
U (0.3333, 0.6667, 0.2875)  4 N 2.27-2.31
S (0.0000, 0.0000, 0.0000)  6 U 2.93

---

Record 7
A plane-wave DFT calculation with r2SCAN was carried out for a geometry-optimized KNdO2 structure.

Unit cell a=6.5747 b=6.5747 c=6.5747 alpha=31.98 beta=31.98 gamma=31.98
Closest atoms and distances in Å follow each position.
Fractional positions:
O (0.7690, 0.7690, 0.7690)  3 Nd 2.41
O (0.2310, 0.2310, 0.2310)  3 Nd 2.41
K (0.0000, 0.0000, 0.0000)  6 O 2.83
Nd (0.5000, 0.5000, 0.5000)  6 O 2.41

---

Record 8
A plane-wave DFT calculation with r2SCAN was carried out for a geometry-optimized Lu5Ge3 structure.

Unit cell a=6.2039 b=8.2334 c=8.2334 alpha=120.00 beta=90.00 gamma=90.00
Closest atoms and distances in Å follow each position.
Fractional positions:
Lu (0.2500, 0.7589, 0.0000)  3 Ge 2.83-3.01
Ge (0.7500, 0.3938, 0.3937)  7 Lu 2.83-3.01
Lu (0.5000, 0.3333, 0.6667)  6 Ge 2.97, 2 Lu 3.10
Ge (0.2500, 0.9999, 0.3937)  7 Lu 2.83-3.01
Lu (0.0000, 0.6667, 0.3333)  6 Ge 2.97, 2 Lu 3.10
Ge (0.7500, 0.6063, 0.0001)  7 Lu 2.83-3.01
Ge (0.2500, 0.6063, 0.6062)  7 Lu 2.83-3.01
Ge (0.2500, 0.3938, 0.0001)  7 Lu 2.83-3.01
Ge (0.7500, 0.9999, 0.6062)  7 Lu 2.83-3.01
Lu (0.7500, 0.2411, 0.0000)  3 Ge 2.83-3.01
Lu (0.7500, 0.0000, 0.2411)  3 Ge 2.83-3.01
Lu (0.5000, 0.6667, 0.3333)  6 Ge 2.97, 2 Lu 3.10
Lu (0.2500, 0.0000, 0.7589)  3 Ge 2.83-3.01
Lu (0.7500, 0.7589, 0.7589)  3 Ge 2.83-3.01
Lu (0.0000, 0.3333, 0.6667)  6 Ge 2.97, 2 Lu 3.10
Lu (0.2500, 0.2411, 0.2411)  3 Ge 2.83-3.01

---

Record 9
A plane-wave DFT calculation with r2SCAN was carried out for a geometry-optimized RbMgH3 structure.

Unit cell a=5.8867 b=5.8867 c=14.2839 alpha=90.00 beta=90.00 gamma=120.00
Closest atoms and distances in Å follow each position.
Fractional positions:
H (0.5239, 0.4761, 0.2500)  2 Mg 2.00
Mg (0.6667, 0.3333, 0.1541)  6 H 2.00-2.01
Rb (0.3333, 0.6667, 0.0955)  12 H 2.94-3.03
H (0.1661, 0.8339, 0.9202)  2 Mg 2.01-2.04
H (0.4761, 0.5239, 0.7500)  2 Mg 2.00
Mg (0.3333, 0.6667, 0.6541)  6 H 2.00-2.01
Mg (0.3333, 0.6667, 0.8459)  6 H 2.00-2.01
H (0.1661, 0.3322, 0.5798)  2 Mg 2.01-2.04
Rb (0.0000, 0.0000, 0.7500)  12 H 2.95-2.96
H (0.1661, 0.8339, 0.5798)  2 Mg 2.01-2.04
H (0.4761, 0.9522, 0.7500)  2 Mg 2.00
H (0.6678, 0.8339, 0.9202)  2 Mg 2.01-2.04
H (0.8339, 0.6678, 0.0798)  2 Mg 2.01-2.04
H (0.9522, 0.4761, 0.2500)  2 Mg 2.00
H (0.3322, 0.1661, 0.4202)  2 Mg 2.01-2.04
Rb (0.6667, 0.3333, 0.5955)  12 H 2.94-3.03
H (0.8339, 0.1661, 0.0798)  2 Mg 2.01-2.04
H (0.8339, 0.6678, 0.4202)  2 Mg 2.01-2.04
Mg (0.6667, 0.3333, 0.3459)  6 H 2.00-2.01
H (0.0478, 0.5239, 0.7500)  2 Mg 2.00
Rb (0.3333, 0.6667, 0.4045)  12 H 2.94-3.03
Mg (0.0000, 0.0000, 0.0000)  6 H 2.04
Rb (0.0000, 0.0000, 0.2500)  12 H 2.95-2.96
H (0.8339, 0.1661, 0.4202)  2 Mg 2.01-2.04
H (0.3322, 0.1661, 0.0798)  2 Mg 2.01-2.04
H (0.1661, 0.3322, 0.9202)  2 Mg 2.01-2.04
H (0.5239, 0.0478, 0.2500)  2 Mg 2.00
H (0.6678, 0.8339, 0.5798)  2 Mg 2.01-2.04
Mg (0.0000, 0.0000, 0.5000)  6 H 2.04
Rb (0.6667, 0.3333, 0.9045)  12 H 2.94-3.03

---

Record 10
A plane-wave DFT calculation with r2SCAN was carried out for a geometry-optimized VFe4 structure.

Unit cell a=2.4944 b=2.4944 c=10.1602 alpha=85.21 beta=85.21 gamma=108.64
Closest atoms and distances in Å follow each position.
Fractional positions:
Fe (0.2006, 0.2006, 0.5987)  8 Fe 2.46-2.49
Fe (0.6021, 0.6021, 0.7957)  6 Fe 2.46-2.49, 2 V 2.52
Fe (0.7994, 0.7994, 0.4013)  8 Fe 2.46-2.49
Fe (0.3979, 0.3979, 0.2043)  6 Fe 2.46-2.49, 2 V 2.52
V (0.0000, 0.0000, 0.0000)  4 V 2.49, 4 Fe 2.52

---

Record 11
A plane-wave DFT calculation with r2SCAN was carried out for a geometry-optimized BiTe structure.

Unit cell a=4.4467 b=4.4467 c=25.1668 alpha=90.00 beta=90.00 gamma=120.00
Closest atoms and distances in Å follow each position.
Fractional positions:
Bi (0.3333, 0.6667, 0.5329)  3 Bi 3.05
Te (0.0000, 0.0000, 0.6413)  3 Bi 3.09
Te (0.3333, 0.6667, 0.0621)  3 Bi 3.07
Bi (0.3333, 0.6667, 0.2906)  6 Te 3.09-3.26
Te (0.6667, 0.3333, 0.2104)  6 Bi 3.26-3.28
Bi (0.6667, 0.3333, 0.7094)  6 Te 3.09-3.26
Bi (0.0000, 0.0000, 0.8708)  6 Te 3.07-3.28
Bi (0.6667, 0.3333, 0.4671)  3 Bi 3.05
Te (0.6667, 0.3333, 0.9379)  3 Bi 3.07
Te (0.0000, 0.0000, 0.3587)  3 Bi 3.09
Te (0.3333, 0.6667, 0.7896)  6 Bi 3.26-3.28
Bi (0.0000, 0.0000, 0.1292)  6 Te 3.07-3.28

---

Record 12
A plane-wave DFT calculation with r2SCAN was carried out for a geometry-optimized Ti6PtAu structure.

Unit cell a=5.0561 b=5.0561 c=5.0562 alpha=90.00 beta=90.00 gamma=90.00
Closest atoms and distances in Å follow each position.
Fractional positions:
Ti (0.5000, 0.2465, 0.0000)  2 Ti 2.49-2.56
Au (0.5000, 0.5000, 0.5000)  12 Ti 2.83
Ti (0.0000, 0.5000, 0.2464)  2 Ti 2.49-2.56
Ti (0.0000, 0.5000, 0.7536)  2 Ti 2.49-2.56
Ti (0.2465, 0.0000, 0.5000)  2 Ti 2.49-2.56
Ti (0.5000, 0.7535, 0.0000)  2 Ti 2.49-2.56
Ti (0.7535, 0.0000, 0.5000)  2 Ti 2.49-2.56
Pt (0.0000, 0.0000, 0.0000)  12 Ti 2.82

---

Energy of formation from the pure elements list, top to bottom, in eV per atom: -0.95, -0.47, -1.69, -0.56, -0.92, -1.94, -2.87, -0.91, -0.33, 0.00, -0.23, -0.53
Total magnetization list, top to bottom, in μB/f.u.: 0.00, 0.00, 0.36, 0.00, 0.00, 4.00, 0.00, 0.00, 0.00, 8.87, 0.00, 0.00
Final energy list, top to bottom, in eV/atom: -23.90, -27.80, -29.11, -8.82, -42.73, -39.17, -14.71, -29.91, -6.03, -14.35, -42.19, -23.00